Below is a relaxed Ba2LiY2Fe4O10 crystal, with properties calculated at the GGA+U level.

- VASP energy (eV/atom) = -6.94
- size of the total moment (μB/cell) = 17.0
- calculated density (g/cm3) = 5.30
- V (A^3/atom) = 13.90
- formation energy (eV per formula unit) = -45.70
- energy above the most stable polymorph in this dataset (meV per atom) = 30

Cell lengths 3.9680, 8.2950, 8.0809 Å; angles 85.39, 89.43, 84.81 degrees
Last column: nearest neighbours and their distance in Å.
Positions (direct):
Ba: 0.9644 0.9580 0.5020  3 O 2.59-2.85
Ba: 0.0810 0.0729 0.0256  7 O 2.62-2.92, 1 Li 2.85
Li: 0.7344 0.8355 0.8768  3 O 1.85-1.92
Y: 0.9912 0.4989 0.0117  8 O 2.32-2.59
Y: 0.9827 0.4916 0.4802  7 O 2.32-2.58
Fe: 0.4614 0.7327 0.2302  4 O 2.04-2.11
Fe: 0.5316 0.2727 0.7519  5 O 1.92-2.05
Fe: 0.5203 0.2598 0.2738  4 O 2.03-2.15
Fe: 0.4374 0.6639 0.7296  4 O 1.94-2.06
O: 0.4538 0.6860 0.4888  2 Fe 1.94-2.09
O: 0.5138 0.3401 0.5104  2 Fe 1.99-2.07
O: 0.4619 0.6816 0.9821  1 Li 1.89, 2 Fe 2.06-2.08
O: 0.5148 0.3300 0.9944  2 Fe 2.05-2.29
O: 0.9422 0.6738 0.7409  1 Li 1.92, 2 Fe 1.96-2.02
O: 0.0074 0.3154 0.2562  2 Fe 2.03-2.05
O: 0.9849 0.6583 0.2348  2 Fe 2.04-2.11
O: 0.0196 0.3294 0.7557  2 Fe 2.03-2.04
O: 0.5393 0.0012 0.2575  2 Fe 2.15-2.30
O: 0.5911 0.0399 0.7806  1 Li 1.85, 1 Fe 1.92